This record from Materials Project describes a relaxed structure of BaCaNdSbO6. The functional is PBE.

- E above lowest polymorph: 0.4 kJ per mole of atoms
- E_form: -2.9788 eV per atom
- Volume: 617 Å³ per cell
- Calculated density: 5.81 g cm⁻³
- Space group: Pnnn (48)

a = 8.5051 Å, b = 8.5166 Å, c = 8.5141 Å
α = 90.00°, β = 90.00°, γ = 90.00°
Fractional coordinates of all 40 atoms:
1 O 0.1953 0.5200 0.7094
2 O 0.6953 0.9800 0.2094
3 O 0.5203 0.6913 0.2157
4 O 0.9797 0.1913 0.7157
5 O 0.9797 0.8087 0.2843
6 O 0.7819 0.7237 0.0184
7 O 0.7819 0.2763 0.9816
8 O 0.2819 0.7763 0.5184
9 O 0.2181 0.2763 0.0184
10 O 0.8047 0.5200 0.2906
11 O 0.0203 0.8087 0.7157
12 O 0.4797 0.6913 0.7843
13 O 0.7181 0.2237 0.5184
14 O 0.3047 0.0200 0.2094
15 O 0.8047 0.4800 0.7094
16 O 0.3047 0.9800 0.7906
17 O 0.6953 0.0200 0.7906
18 O 0.0203 0.1913 0.2843
19 O 0.5203 0.3087 0.7843
20 O 0.1953 0.4800 0.2906
21 O 0.2819 0.2237 0.4816
22 O 0.2181 0.7237 0.9816
23 O 0.7181 0.7763 0.4816
24 O 0.4797 0.3087 0.2157
25 Ba 0.5000 0.0000 0.5000
26 Ba 0.5000 0.5000 0.5000
27 Ba 0.0000 0.5000 0.0000
28 Ba 0.0000 0.0000 0.0000
29 Nd 0.7500 0.7500 0.7500
30 Nd 0.2500 0.7500 0.2500
31 Nd 0.7500 0.2500 0.2500
32 Nd 0.2500 0.2500 0.7500
33 Ca 0.5000 0.5000 0.0000
34 Ca 0.5000 0.0000 0.0000
35 Ca 0.0000 0.0000 0.5000
36 Ca 0.0000 0.5000 0.5000
37 Sb 0.2500 0.7500 0.7500
38 Sb 0.7500 0.2500 0.7500
39 Sb 0.7500 0.7500 0.2500
40 Sb 0.2500 0.2500 0.2500